Material: KFeH2S2O9
Method: DFT, PBE+U
State: relaxed Values from VASP.

As for the magnetic moment: 0.000 μB per formula unit. The value obtained for the uncorrected energy is -5.892 eV/atom. The calculation puts the formation energy at -1.8429 eV per atom.

```
&SYSTEM
  ibrav = 0, nat = 60, ntyp = 5
/
ATOMIC_SPECIES
K 39.10 K.upf
Fe 55.84 Fe.upf
H 1.01 H.upf
S 32.06 S.upf
O 16.00 O.upf
CELL_PARAMETERS angstrom
-1.8782 5.4838 -5.7240
-8.9598 -4.8820 -1.7339
-3.5699 3.7840 7.7856
ATOMIC_POSITIONS crystal
K 0.4267 0.3750 0.7835
K 0.4267 0.8750 0.7835
K 0.5733 0.1250 0.2165
K 0.5733 0.6250 0.2165
Fe 0.0872 0.6250 0.2235
Fe 0.9128 0.8750 0.7765
Fe 0.0872 0.1250 0.2235
Fe 0.9128 0.3750 0.7765
H 0.1657 0.0470 0.4927
H 0.1657 0.5470 0.4927
H 0.1657 0.2030 0.4927
H 0.1657 0.7030 0.4927
H 0.8343 0.2970 0.5073
H 0.8343 0.7970 0.5073
H 0.8343 0.4530 0.5073
H 0.8343 0.9530 0.5073
S 0.1570 0.1250 0.8858
S 0.1570 0.6250 0.8857
S 0.8430 0.3750 0.1142
S 0.8430 0.8750 0.1143
S 0.3317 0.3750 0.3448
S 0.3317 0.8750 0.3448
S 0.6683 0.1250 0.6552
S 0.6683 0.6250 0.6552
O 0.1046 0.1250 0.4483
O 0.1046 0.6250 0.4484
O 0.8954 0.3750 0.5517
O 0.8954 0.8750 0.5517
O 0.0670 0.1250 0.0076
O 0.0670 0.6250 0.0076
O 0.9330 0.3750 0.9924
O 0.9330 0.8750 0.9924
O 0.3398 0.1249 0.9351
O 0.3398 0.6249 0.9351
O 0.6602 0.3751 0.0649
O 0.6602 0.8751 0.0649
O 0.2571 0.3750 0.4752
O 0.2571 0.8750 0.4752
O 0.7429 0.1250 0.5248
O 0.7429 0.6250 0.5248
O 0.4849 0.1250 0.6237
O 0.4849 0.6250 0.6237
O 0.5151 0.3750 0.3763
O 0.5151 0.8750 0.3763
O 0.1018 0.0077 0.7920
O 0.1018 0.5077 0.7920
O 0.1019 0.2424 0.7921
O 0.1019 0.7424 0.7921
O 0.8981 0.2576 0.2079
O 0.8981 0.7576 0.2079
O 0.8982 0.4923 0.2080
O 0.8982 0.9923 0.2080
O 0.2692 0.2580 0.2503
O 0.2692 0.7580 0.2503
O 0.2692 0.4920 0.2504
O 0.2692 0.9920 0.2503
O 0.7308 0.0080 0.7496
O 0.7308 0.5080 0.7497
O 0.7308 0.2420 0.7497
O 0.7308 0.7420 0.7497
```